i.
VASP calculation (PBE with a Hubbard U) on LiMnVP3O12 after structural relaxation.

Computed properties:
Total magnetization ... 8.00 μB/cell
Crystal system ... triclinic

CIF file:
```
data_LiMnVP3O12
_space_group_name_H-M_alt 'P -1'
_space_group_IT_number 2
_cell_length_a 8.272
_cell_length_b 8.288
_cell_length_c 8.853
_cell_angle_alpha 89.63
_cell_angle_beta 63.30
_cell_angle_gamma 60.95
loop_
_space_group_symop_operation_xyz
'x,y,z'
'-x,-y,-z'
loop_
_atom_site_label
_atom_site_type_symbol
_atom_site_fract_x
_atom_site_fract_y
_atom_site_fract_z
Li1 Li 0.053 0.260 0.376
Mn1 Mn 0.289 0.847 0.066
V1 V 0.309 0.343 0.552
P1 P 0.206 0.545 0.253
P2 P 0.220 0.740 0.748
P3 P 0.498 0.971 0.246
O1 O 0.003 0.464 0.682
O2 O 0.012 0.863 0.751
O3 O 0.143 0.748 0.238
O4 O 0.201 0.773 0.925
O5 O 0.245 0.528 0.413
O6 O 0.299 0.521 0.687
O7 O 0.318 0.170 0.390
O8 O 0.352 0.012 0.924
O9 O 0.361 0.165 0.678
O10 O 0.378 0.889 0.225
O11 O 0.387 0.385 0.089
O12 O 0.397 0.768 0.605
```

***

ii.
VASP calculation (PBE with a Hubbard U) on LiMnVP3O12 after structural relaxation.

Computed properties:
Total magnetization ... 8.00 μB/cell
Crystal system ... triclinic

CIF file:
```
data_LiMnVP3O12
_space_group_name_H-M_alt 'P 1'
_space_group_IT_number 1
_cell_length_a 8.299
_cell_length_b 8.312
_cell_length_c 8.882
_cell_angle_alpha 62.90
_cell_angle_beta 89.46
_cell_angle_gamma 60.78
loop_
_space_group_symop_operation_xyz
'x,y,z'
loop_
_atom_site_label
_atom_site_type_symbol
_atom_site_fract_x
_atom_site_fract_y
_atom_site_fract_z
Li1 Li 0.000 0.000 0.000
Li2 Li 0.034 0.562 0.263
Mn1 Mn 0.583 0.225 0.703
Mn2 Mn 0.875 0.657 0.569
V1 V 0.090 0.232 0.186
V2 V 0.401 0.623 0.087
P1 P 0.190 0.729 0.386
P2 P 0.278 0.143 0.888
P3 P 0.477 0.151 0.388
P4 P 0.704 0.436 0.880
P5 P 0.766 0.435 0.386
P6 P 0.998 0.716 0.892
O1 O 0.117 0.325 0.723
O2 O 0.187 0.944 0.315
O3 O 0.199 0.689 0.227
O4 O 0.215 0.643 0.952
O5 O 0.246 0.200 0.040
O6 O 0.257 0.236 0.328
O7 O 0.267 0.936 0.959
O8 O 0.352 0.552 0.548
O9 O 0.481 0.082 0.878
O10 O 0.500 0.335 0.241
O11 O 0.504 0.142 0.562
O12 O 0.567 0.610 0.241
O13 O 0.568 0.580 0.953
O14 O 0.607 0.945 0.392
O15 O 0.626 0.311 0.864
O16 O 0.716 0.588 0.707
O17 O 0.747 0.292 0.557
O18 O 0.854 0.553 0.402
O19 O 0.874 0.928 0.887
O20 O 0.903 0.261 0.022
O21 O 0.905 0.293 0.313
O22 O 0.967 0.726 0.721
O23 O 0.970 0.546 0.046
O24 O 0.986 0.785 0.401
```

***

Bottom line: i, by a margin of 5 meV per atom.

***

i.
VASP calculation (PBE with a Hubbard U) on Mn7V5O16 after structural relaxation.

Computed properties:
Total magnetization ... 84.00 μB/cell
Crystal system ... orthorhombic

CIF file:
```
data_Mn7V5O16
_space_group_name_H-M_alt 'P n n m'
_space_group_IT_number 58
_cell_length_a 8.795
_cell_length_b 12.174
_cell_length_c 5.902
_cell_angle_alpha 90.00
_cell_angle_beta 90.00
_cell_angle_gamma 90.00
loop_
_space_group_symop_operation_xyz
'x,y,z'
'-x,-y,-z'
'-x,-y,z'
'x,y,-z'
'x+1/2,-y+1/2,-z+1/2'
'-x+1/2,y+1/2,z+1/2'
'-x+1/2,y+1/2,-z+1/2'
'x+1/2,-y+1/2,z+1/2'
loop_
_atom_site_label
_atom_site_type_symbol
_atom_site_fract_x
_atom_site_fract_y
_atom_site_fract_z
Mn1 Mn 0.000 0.000 0.000
Mn2 Mn 0.007 0.249 0.000
Mn3 Mn 0.121 0.870 0.500
Mn4 Mn 0.125 0.375 0.500
V1 V 0.000 0.500 0.000
V2 V 0.246 0.622 0.241
O1 O 0.014 0.623 0.226
O2 O 0.025 0.123 0.235
O3 O 0.234 0.503 0.000
O4 O 0.242 0.739 0.000
O5 O 0.248 0.514 0.500
O6 O 0.248 0.732 0.500
```

***

ii.
VASP calculation (PBE with a Hubbard U) on Mn7V5O16 after structural relaxation.

Computed properties:
Total magnetization ... 84.00 μB/cell
Crystal system ... triclinic

CIF file:
```
data_Mn7V5O16
_space_group_name_H-M_alt 'P -1'
_space_group_IT_number 2
_cell_length_a 6.205
_cell_length_b 10.440
_cell_length_c 10.623
_cell_angle_alpha 80.71
_cell_angle_beta 88.96
_cell_angle_gamma 73.99
loop_
_space_group_symop_operation_xyz
'x,y,z'
'-x,-y,-z'
loop_
_atom_site_label
_atom_site_type_symbol
_atom_site_fract_x
_atom_site_fract_y
_atom_site_fract_z
Mn1 Mn 0.000 0.000 0.000
Mn2 Mn 0.000 0.000 0.500
Mn3 Mn 0.097 0.312 0.026
Mn4 Mn 0.151 0.188 0.714
Mn5 Mn 0.258 0.496 0.749
Mn6 Mn 0.336 0.810 0.784
Mn7 Mn 0.398 0.690 0.470
Mn8 Mn 0.500 0.000 0.500
Mn9 Mn 0.500 0.500 0.000
V1 V 0.000 0.500 0.500
V2 V 0.134 0.257 0.370
V3 V 0.247 0.499 0.254
V4 V 0.261 0.001 0.247
V5 V 0.374 0.756 0.130
V6 V 0.500 0.000 0.000
O1 O 0.019 0.871 0.695
O2 O 0.038 0.395 0.676
O3 O 0.073 0.381 0.201
O4 O 0.096 0.880 0.186
O5 O 0.148 0.623 0.567
O6 O 0.186 0.137 0.534
O7 O 0.199 0.629 0.086
O8 O 0.218 0.105 0.070
O9 O 0.290 0.386 0.432
O10 O 0.305 0.896 0.416
O11 O 0.326 0.877 0.959
O12 O 0.356 0.362 0.925
O13 O 0.404 0.130 0.308
O14 O 0.409 0.629 0.295
O15 O 0.455 0.114 0.821
O16 O 0.474 0.605 0.806
```

***

Bottom line: ii, by a margin of 8 meV per atom.

***

i.
VASP calculation (PBE with a Hubbard U) on BaCo2P2O8 after structural relaxation.

Computed properties:
Total magnetization ... 0.00 μB/cell
Crystal system ... monoclinic

CIF file:
```
data_BaCo2P2O8
_space_group_name_H-M_alt 'P 1 21/c 1'
_space_group_IT_number 14
_cell_length_a 8.258
_cell_length_b 5.050
_cell_length_c 9.337
_cell_angle_alpha 90.00
_cell_angle_beta 92.39
_cell_angle_gamma 90.00
loop_
_space_group_symop_operation_xyz
'x,y,z'
'-x,-y,-z'
'-x,y+1/2,-z+1/2'
'x,-y+1/2,z+1/2'
loop_
_atom_site_label
_atom_site_type_symbol
_atom_site_fract_x
_atom_site_fract_y
_atom_site_fract_z
Ba1 Ba 0.000 0.000 0.000
Co1 Co 0.350 0.067 0.707
P1 P 0.265 0.505 0.864
O1 O 0.143 0.149 0.266
O2 O 0.224 0.056 0.522
O3 O 0.259 0.692 0.345
O4 O 0.436 0.112 0.326
```

***

ii.
VASP calculation (PBE with a Hubbard U) on BaCo2P2O8 after structural relaxation.

Computed properties:
Total magnetization ... 0.00 μB/cell
Crystal system ... triclinic

CIF file:
```
data_BaCo2P2O8
_space_group_name_H-M_alt 'P 1'
_space_group_IT_number 1
_cell_length_a 4.895
_cell_length_b 4.900
_cell_length_c 16.180
_cell_angle_alpha 90.07
_cell_angle_beta 98.54
_cell_angle_gamma 119.94
loop_
_space_group_symop_operation_xyz
'x,y,z'
loop_
_atom_site_label
_atom_site_type_symbol
_atom_site_fract_x
_atom_site_fract_y
_atom_site_fract_z
Ba1 Ba 0.000 0.000 0.000
Ba2 Ba 0.001 0.500 0.500
Co1 Co 0.169 0.082 0.254
Co2 Co 0.170 0.585 0.755
Co3 Co 0.831 0.416 0.246
Co4 Co 0.831 0.915 0.745
P1 P 0.427 0.713 0.141
P2 P 0.428 0.214 0.641
P3 P 0.573 0.286 0.860
P4 P 0.574 0.787 0.360
O1 O 0.151 0.915 0.673
O2 O 0.152 0.415 0.173
O3 O 0.243 0.266 0.828
O4 O 0.244 0.767 0.328
O5 O 0.362 0.682 0.045
O6 O 0.364 0.182 0.545
O7 O 0.438 0.023 0.173
O8 O 0.439 0.523 0.673
O9 O 0.561 0.477 0.328
O10 O 0.562 0.977 0.828
O11 O 0.637 0.319 0.956
O12 O 0.639 0.820 0.456
O13 O 0.757 0.734 0.172
O14 O 0.758 0.234 0.672
O15 O 0.850 0.585 0.828
O16 O 0.852 0.085 0.328
```

***

Bottom line: i, by a margin of 17 meV per atom.